(1)
VASP calculation (r²SCAN) on crystalline Ho2Si5Rh3 at its relaxed geometry.

Properties
space group	No. 72
size of the total moment	0.00	μB per formula unit
ΔH_f (0 K)	-1.02	eV per atom

a b c (Å): 8.1004 8.1004 8.1004
angles (deg): 105.23 89.11 138.84
Closest atoms and distances in Å follow each position.
Element x y z (fractional)
Ho 0.1318 0.2309 0.3627  10 Si 2.95-3.18, 3 Rh 3.06-3.09
Ho 0.3682 0.7309 0.0991  10 Si 2.95-3.18, 3 Rh 3.06-3.09
Ho 0.6318 0.2691 0.9009  10 Si 2.95-3.18, 3 Rh 3.06-3.09
Ho 0.8682 0.7691 0.6373  10 Si 2.95-3.18, 3 Rh 3.06-3.09
Si 0.0282 0.7500 0.2782  3 Rh 2.40-2.56, 2 Si 2.49
Si 0.1056 0.6573 0.7629  3 Rh 2.32-2.43, 2 Si 2.49
Si 0.2500 0.2500 0.0000  4 Rh 2.41
Si 0.3944 0.1573 0.5517  3 Rh 2.32-2.43, 2 Si 2.49
Si 0.4718 0.7500 0.7218  3 Rh 2.40-2.56, 2 Si 2.49
Si 0.5282 0.2500 0.2782  3 Rh 2.40-2.56, 2 Si 2.49
Si 0.6056 0.8427 0.4483  3 Rh 2.32-2.43, 2 Si 2.49
Si 0.7500 0.7500 0.0000  4 Rh 2.41
Si 0.8944 0.3427 0.2371  3 Rh 2.32-2.43, 2 Si 2.49
Si 0.9718 0.2500 0.7218  3 Rh 2.40-2.56, 2 Si 2.49
Rh 0.1401 0.8900 0.0301  5 Si 2.32-2.41
Rh 0.2500 0.7500 0.5000  6 Si 2.43-2.56
Rh 0.3599 0.3900 0.7500  5 Si 2.32-2.41
Rh 0.6401 0.6100 0.2500  5 Si 2.32-2.41
Rh 0.7500 0.2500 0.5000  6 Si 2.43-2.56
Rh 0.8599 0.1100 0.9699  5 Si 2.32-2.41

***

(2)
VASP calculation (r²SCAN) on crystalline HoSi2Rh3 at its relaxed geometry.

Properties
space group	No. 191
size of the total moment	0.00	μB per formula unit
ΔH_f (0 K)	-1.08	eV per atom

a b c (Å): 5.4751 5.4751 3.6477
angles (deg): 90.00 90.00 120.00
Closest atoms and distances in Å follow each position.
Element x y z (fractional)
Ho 0.0000 0.0000 0.0000  6 Si 3.16, 12 Rh 3.29
Si 0.3333 0.6667 0.0000  6 Rh 2.41
Si 0.6667 0.3333 0.0000  6 Rh 2.41
Rh 0.0000 0.5000 0.5000  4 Si 2.41
Rh 0.5000 0.0000 0.5000  4 Si 2.41
Rh 0.5000 0.5000 0.5000  4 Si 2.41

***

(3)
VASP calculation (r²SCAN) on crystalline SmHoRh2 at its relaxed geometry.

Properties
space group	No. 225
size of the total moment	0.00	μB per formula unit
ΔH_f (0 K)	-0.86	eV per atom

a b c (Å): 6.8715 6.8715 6.8715
angles (deg): 90.00 90.00 90.00
Closest atoms and distances in Å follow each position.
Element x y z (fractional)
Sm 0.0000 0.0000 0.0000  8 Rh 2.98
Sm 0.0000 0.5000 0.5000  8 Rh 2.98
Sm 0.5000 0.0000 0.5000  8 Rh 2.98
Sm 0.5000 0.5000 0.0000  8 Rh 2.98
Ho 0.0000 0.0000 0.5000  8 Rh 2.98
Ho 0.0000 0.5000 0.0000  8 Rh 2.98
Ho 0.5000 0.0000 0.0000  8 Rh 2.98
Ho 0.5000 0.5000 0.5000  8 Rh 2.98
Rh 0.2500 0.2500 0.2500  4 Ho 2.98, 4 Sm 2.98
Rh 0.2500 0.2500 0.7500  4 Ho 2.98, 4 Sm 2.98
Rh 0.2500 0.7500 0.2500  4 Ho 2.98, 4 Sm 2.98
Rh 0.2500 0.7500 0.7500  4 Ho 2.98, 4 Sm 2.98
Rh 0.7500 0.2500 0.2500  4 Ho 2.98, 4 Sm 2.98
Rh 0.7500 0.2500 0.7500  4 Ho 2.98, 4 Sm 2.98
Rh 0.7500 0.7500 0.2500  4 Ho 2.98, 4 Sm 2.98
Rh 0.7500 0.7500 0.7500  4 Ho 2.98, 4 Sm 2.98

***

(4)
VASP calculation (r²SCAN) on crystalline HoSnRh2 at its relaxed geometry.

Properties
space group	No. 225
size of the total moment	0.01	μB per formula unit
ΔH_f (0 K)	-0.85	eV per atom

a b c (Å): 6.5841 6.5841 6.5841
angles (deg): 90.00 90.00 90.00
Closest atoms and distances in Å follow each position.
Element x y z (fractional)
Ho 0.0000 0.0000 0.0000  8 Rh 2.85
Ho 0.0000 0.5000 0.5000  8 Rh 2.85
Ho 0.5000 0.0000 0.5000  8 Rh 2.85
Ho 0.5000 0.5000 0.0000  8 Rh 2.85
Sn 0.0000 0.0000 0.5000  8 Rh 2.85
Sn 0.0000 0.5000 0.0000  8 Rh 2.85
Sn 0.5000 0.0000 0.0000  8 Rh 2.85
Sn 0.5000 0.5000 0.5000  8 Rh 2.85
Rh 0.2500 0.2500 0.2500  4 Sn 2.85, 4 Ho 2.85
Rh 0.2500 0.2500 0.7500  4 Sn 2.85, 4 Ho 2.85
Rh 0.2500 0.7500 0.2500  4 Sn 2.85, 4 Ho 2.85
Rh 0.2500 0.7500 0.7500  4 Sn 2.85, 4 Ho 2.85
Rh 0.7500 0.2500 0.2500  4 Sn 2.85, 4 Ho 2.85
Rh 0.7500 0.2500 0.7500  4 Sn 2.85, 4 Ho 2.85
Rh 0.7500 0.7500 0.2500  4 Sn 2.85, 4 Ho 2.85
Rh 0.7500 0.7500 0.7500  4 Ho 2.85, 4 Sn 2.85

***

(5)
VASP calculation (r²SCAN) on crystalline TbHoRh2 at its relaxed geometry.

Properties
space group	No. 225
size of the total moment	0.00	μB per formula unit
ΔH_f (0 K)	-0.94	eV per atom

a b c (Å): 6.8080 6.8080 6.8080
angles (deg): 90.00 90.00 90.00
Closest atoms and distances in Å follow each position.
Element x y z (fractional)
Tb 0.0000 0.0000 0.0000  8 Rh 2.95
Tb 0.0000 0.5000 0.5000  8 Rh 2.95
Tb 0.5000 0.0000 0.5000  8 Rh 2.95
Tb 0.5000 0.5000 0.0000  8 Rh 2.95
Ho 0.0000 0.0000 0.5000  8 Rh 2.95
Ho 0.0000 0.5000 0.0000  8 Rh 2.95
Ho 0.5000 0.0000 0.0000  8 Rh 2.95
Ho 0.5000 0.5000 0.5000  8 Rh 2.95
Rh 0.2500 0.2500 0.2500  4 Ho 2.95, 4 Tb 2.95
Rh 0.2500 0.2500 0.7500  4 Tb 2.95, 4 Ho 2.95
Rh 0.2500 0.7500 0.2500  4 Tb 2.95, 4 Ho 2.95
Rh 0.2500 0.7500 0.7500  4 Tb 2.95, 4 Ho 2.95
Rh 0.7500 0.2500 0.2500  4 Tb 2.95, 4 Ho 2.95
Rh 0.7500 0.2500 0.7500  4 Tb 2.95, 4 Ho 2.95
Rh 0.7500 0.7500 0.2500  4 Tb 2.95, 4 Ho 2.95
Rh 0.7500 0.7500 0.7500  4 Tb 2.95, 4 Ho 2.95

***

(6)
VASP calculation (r²SCAN) on crystalline HoTmRh2 at its relaxed geometry.

Properties
space group	No. 225
size of the total moment	0.00	μB per formula unit
ΔH_f (0 K)	-1.00	eV per atom

a b c (Å): 6.7424 6.7424 6.7424
angles (deg): 90.00 90.00 90.00
Closest atoms and distances in Å follow each position.
Element x y z (fractional)
Ho 0.0000 0.0000 0.0000  8 Rh 2.92
Ho 0.0000 0.5000 0.5000  8 Rh 2.92
Ho 0.5000 0.0000 0.5000  8 Rh 2.92
Ho 0.5000 0.5000 0.0000  8 Rh 2.92
Tm 0.0000 0.0000 0.5000  8 Rh 2.92
Tm 0.0000 0.5000 0.0000  8 Rh 2.92
Tm 0.5000 0.0000 0.0000  8 Rh 2.92
Tm 0.5000 0.5000 0.5000  8 Rh 2.92
Rh 0.2500 0.2500 0.2500  4 Ho 2.92, 4 Tm 2.92
Rh 0.2500 0.2500 0.7500  4 Ho 2.92, 4 Tm 2.92
Rh 0.2500 0.7500 0.2500  4 Ho 2.92, 4 Tm 2.92
Rh 0.2500 0.7500 0.7500  4 Ho 2.92, 4 Tm 2.92
Rh 0.7500 0.2500 0.2500  4 Ho 2.92, 4 Tm 2.92
Rh 0.7500 0.2500 0.7500  4 Ho 2.92, 4 Tm 2.92
Rh 0.7500 0.7500 0.2500  4 Ho 2.92, 4 Tm 2.92
Rh 0.7500 0.7500 0.7500  4 Ho 2.92, 4 Tm 2.92